Entry 1:
Density functional theory data (GGA+U) for a relaxed structure of LiMnH4S2O10.

Calculated values
- Total energy: -5.83 eV per atom
- Formation enthalpy at 0 K: -1.729 eV per atom
- Energy above the lowest structure with this stoichiometry: 16.3 meV/atom

The structure in CIF format:
```
data_LiMnH4S2O10
_chemical_formula_sum 'Li2 Mn2 H8 S4 O20'
_cell_length_a 5.766
_cell_length_b 7.076
_cell_length_c 10.516
_cell_angle_alpha 98.96
_cell_angle_beta 101.18
_cell_angle_gamma 110.35
_symmetry_space_group_name_H-M 'P 1'
_symmetry_Int_Tables_number 1
loop_
_symmetry_equiv_pos_as_xyz
'x,y,z'
loop_
_atom_site_label
_atom_site_fract_x
_atom_site_fract_y
_atom_site_fract_z
_atom_site_occupancy
Li1 0.000 0.000 0.000 1
Li2 0.057 0.040 0.544 1
Mn1 0.728 0.325 0.688 1
Mn2 0.730 0.282 0.186 1
H1 0.554 0.603 0.643 1
H2 0.604 0.881 0.130 1
H3 0.613 0.949 0.565 1
H4 0.690 0.982 0.726 1
H5 0.785 0.620 0.143 1
H6 0.814 0.642 0.304 1
H7 0.859 0.708 0.726 1
H8 0.893 0.992 0.233 1
S1 0.070 0.542 0.018 1
S2 0.072 0.537 0.508 1
S3 0.386 0.074 0.369 1
S4 0.396 0.065 0.855 1
O1 0.011 0.386 0.107 1
O2 0.021 0.425 0.621 1
O3 0.104 0.954 0.340 1
O4 0.127 0.915 0.815 1
O5 0.344 0.669 0.062 1
O6 0.352 0.651 0.547 1
O7 0.418 0.194 0.749 1
O8 0.423 0.166 0.249 1
O9 0.440 0.197 0.989 1
O10 0.457 0.242 0.492 1
O11 0.538 0.947 0.387 1
O12 0.587 0.968 0.856 1
O13 0.692 0.592 0.714 1
O14 0.709 0.554 0.214 1
O15 0.748 0.038 0.649 1
O16 0.772 0.006 0.154 1
O17 0.915 0.672 0.030 1
O18 0.935 0.677 0.497 1
O19 0.984 0.369 0.384 1
O20 0.992 0.410 0.880 1
```

---

Entry 2:
Density functional theory data (GGA+U) for a relaxed structure of LiMnHSO5.

Calculated values
- Total energy: -6.28 eV per atom
- Formation enthalpy at 0 K: -2.027 eV per atom

The structure in CIF format:
```
data_LiMnHSO5
_chemical_formula_sum 'Li4 Mn4 H4 S4 O20'
_cell_length_a 9.978
_cell_length_b 5.592
_cell_length_c 7.678
_cell_angle_alpha 90.00
_cell_angle_beta 110.97
_cell_angle_gamma 90.00
_symmetry_space_group_name_H-M 'P 1 21/c 1'
_symmetry_Int_Tables_number 14
loop_
_symmetry_equiv_pos_as_xyz
'x,y,z'
'-x,-y,-z'
'-x,y+1/2,-z+1/2'
'x,-y+1/2,z+1/2'
loop_
_atom_site_label
_atom_site_fract_x
_atom_site_fract_y
_atom_site_fract_z
_atom_site_occupancy
Li1 0.086 0.061 0.312 1
Mn1 0.444 0.234 0.376 1
H1 0.331 0.001 0.597 1
S1 0.209 0.561 0.507 1
O1 0.096 0.080 0.864 1
O2 0.162 0.687 0.007 1
O3 0.237 0.048 0.195 1
O4 0.345 0.554 0.466 1
O5 0.427 0.071 0.628 1
```

---

Number 2 is which compound? LiMnHSO5